HfZn16 after structural relaxation. Source: the Materials Project database, functional PBE-GGA.

a b c (Å): 6.962 6.962 11.844
angles (deg): 90.00 90.00 112.34
Element x y z (fractional)
Hf  0.047  0.953  0.250
Hf  0.953  0.047  0.750
Zn  0.355  0.983  0.431
Zn  0.645  0.017  0.931
Zn  0.983  0.355  0.569
Zn  0.017  0.645  0.069
Zn  0.645  0.017  0.569
Zn  0.355  0.983  0.069
Zn  0.017  0.645  0.431
Zn  0.983  0.355  0.931
Zn  0.649  0.756  0.366
Zn  0.351  0.244  0.866
Zn  0.756  0.649  0.634
Zn  0.244  0.351  0.134
Zn  0.351  0.244  0.634
Zn  0.649  0.756  0.134
Zn  0.244  0.351  0.366
Zn  0.756  0.649  0.866
Zn  0.480  0.194  0.250
Zn  0.520  0.806  0.750
Zn  0.194  0.480  0.750
Zn  0.806  0.520  0.250
Zn  0.178  0.822  0.860
Zn  0.822  0.178  0.360
Zn  0.822  0.178  0.140
Zn  0.178  0.822  0.640
Zn  0.621  0.379  0.469
Zn  0.379  0.621  0.969
Zn  0.379  0.621  0.531
Zn  0.621  0.379  0.031
Zn  0.292  0.708  0.250
Zn  0.708  0.292  0.750
Zn  0.000  0.000  0.500
Zn  0.000  0.000  0.000

Properties
- Uncorrected energy: -1.844 eV/atom

HfZn3 after structural relaxation. Source: the Materials Project database, functional PBE-GGA.

a b c (Å): 5.845 5.845 4.389
angles (deg): 90.00 90.00 120.00
Element x y z (fractional)
Hf  0.333  0.667  0.750
Hf  0.667  0.333  0.250
Zn  0.160  0.320  0.250
Zn  0.680  0.840  0.250
Zn  0.160  0.840  0.250
Zn  0.840  0.680  0.750
Zn  0.320  0.160  0.750
Zn  0.840  0.160  0.750

Properties
- Uncorrected energy: -3.638 eV/atom

HfZn22 after structural relaxation. Source: the Materials Project database, functional PBE-GGA.

a b c (Å): 9.998 9.998 9.998
angles (deg): 60.00 60.00 60.00
Element x y z (fractional)
Hf  0.500  0.500  0.500
Hf  0.750  0.750  0.750
Zn  0.860  0.860  0.140
Zn  0.140  0.140  0.860
Zn  0.860  0.140  0.860
Zn  0.140  0.860  0.140
Zn  0.140  0.860  0.860
Zn  0.860  0.140  0.140
Zn  0.390  0.390  0.110
Zn  0.110  0.110  0.390
Zn  0.390  0.110  0.390
Zn  0.110  0.390  0.110
Zn  0.110  0.390  0.390
Zn  0.390  0.110  0.110
Zn  0.567  0.307  0.307
Zn  0.307  0.567  0.820
Zn  0.307  0.820  0.567
Zn  0.820  0.307  0.307
Zn  0.307  0.307  0.567
Zn  0.567  0.820  0.307
Zn  0.820  0.567  0.307
Zn  0.307  0.307  0.820
Zn  0.307  0.567  0.307
Zn  0.820  0.307  0.567
Zn  0.567  0.307  0.820
Zn  0.307  0.820  0.307
Zn  0.683  0.943  0.943
Zn  0.943  0.683  0.430
Zn  0.943  0.430  0.683
Zn  0.430  0.943  0.943
Zn  0.943  0.943  0.683
Zn  0.683  0.430  0.943
Zn  0.430  0.683  0.943
Zn  0.943  0.943  0.430
Zn  0.943  0.683  0.943
Zn  0.430  0.943  0.683
Zn  0.683  0.943  0.430
Zn  0.943  0.430  0.943
Zn  0.125  0.625  0.625
Zn  0.625  0.125  0.625
Zn  0.625  0.625  0.125
Zn  0.625  0.625  0.625
Zn  0.625  0.125  0.125
Zn  0.125  0.625  0.125
Zn  0.125  0.125  0.625
Zn  0.125  0.125  0.125

Properties
- Uncorrected energy: -1.688 eV/atom